Record 1
Here is crystalline AlH10N2OF5 at its relaxed geometry from Materials Project. Energies are from GGA-PBE.

Density   1765 kg/m3
Formation energy from the elements   -1.665 eV per atom

a = 7.671 Å, b = 8.176 Å, c = 10.562 Å
α = 90.00°, β = 90.00°, γ = 90.00°
Fractional positions:
H (0.898, 0.510, 0.119)
H (0.476, 0.556, 0.753)
H (0.356, 0.894, 0.981)
H (0.856, 0.106, 0.981)
Al (0.250, 0.696, 0.500)
H (0.856, 0.606, 0.519)
O (0.250, 0.462, 0.500)
H (0.102, 0.990, 0.619)
F (0.176, 0.194, 0.168)
H (0.524, 0.944, 0.253)
H (0.644, 0.606, 0.481)
N (0.543, 0.965, 0.700)
H (0.644, 0.106, 0.019)
O (0.750, 0.038, 0.000)
H (0.137, 0.585, 0.741)
F (0.676, 0.806, 0.168)
H (0.956, 0.129, 0.678)
F (0.525, 0.802, 0.947)
F (0.475, 0.698, 0.447)
F (0.176, 0.694, 0.332)
H (0.044, 0.871, 0.322)
F (0.324, 0.194, 0.832)
F (0.525, 0.302, 0.553)
Al (0.750, 0.304, 0.500)
H (0.476, 0.056, 0.747)
H (0.102, 0.490, 0.881)
F (0.975, 0.302, 0.447)
O (0.750, 0.538, 0.500)
H (0.544, 0.629, 0.178)
H (0.024, 0.056, 0.253)
H (0.456, 0.871, 0.678)
H (0.137, 0.085, 0.759)
N (0.957, 0.465, 0.200)
H (0.544, 0.129, 0.322)
F (0.250, 0.420, 0.000)
F (0.324, 0.694, 0.668)
H (0.398, 0.490, 0.119)
N (0.043, 0.035, 0.700)
H (0.144, 0.894, 0.019)
F (0.824, 0.306, 0.668)
N (0.457, 0.535, 0.200)
F (0.250, 0.920, 0.500)
H (0.398, 0.990, 0.381)
H (0.976, 0.944, 0.747)
F (0.025, 0.698, 0.553)
H (0.863, 0.915, 0.241)
H (0.024, 0.556, 0.247)
H (0.456, 0.371, 0.822)
H (0.976, 0.444, 0.753)
H (0.602, 0.010, 0.619)
Al (0.250, 0.196, 0.000)
H (0.637, 0.415, 0.741)
N (0.957, 0.965, 0.300)
N (0.543, 0.465, 0.800)
N (0.457, 0.035, 0.300)
N (0.043, 0.535, 0.800)
H (0.602, 0.510, 0.881)
H (0.524, 0.444, 0.247)
Al (0.750, 0.804, 0.000)
F (0.975, 0.802, 0.053)
H (0.363, 0.085, 0.241)
H (0.863, 0.415, 0.259)
H (0.956, 0.629, 0.822)
F (0.475, 0.198, 0.053)
H (0.044, 0.371, 0.178)
H (0.144, 0.394, 0.481)
F (0.676, 0.306, 0.332)
F (0.025, 0.198, 0.947)
H (0.356, 0.394, 0.519)
H (0.637, 0.915, 0.759)
H (0.363, 0.585, 0.259)
F (0.750, 0.080, 0.500)
O (0.250, 0.962, 0.000)
H (0.898, 0.010, 0.381)
F (0.750, 0.580, 0.000)
F (0.824, 0.806, 0.832)

=====

Record 2
Here is crystalline SmSb at its relaxed geometry from Materials Project. Energies are from GGA-PBE.

Density   7141 kg/m3
Formation energy from the elements   -1.267 eV per atom

a = 4.473 Å, b = 4.473 Å, c = 4.473 Å
α = 60.00°, β = 60.00°, γ = 60.00°
Fractional positions:
Sb (0.000, 0.000, 0.000)
Sm (0.500, 0.500, 0.500)

=====

- Look up the density of the first one.
  1765 kg/m3

=====

- Which formula does entry 2 have?
  SmSb

=====

Please write out number 1 again, unchanged.
Here is crystalline AlH10N2OF5 at its relaxed geometry from Materials Project. Energies are from GGA-PBE.

Density   1765 kg/m3
Formation energy from the elements   -1.665 eV per atom

a = 7.671 Å, b = 8.176 Å, c = 10.562 Å
α = 90.00°, β = 90.00°, γ = 90.00°
Fractional positions:
H (0.898, 0.510, 0.119)
H (0.476, 0.556, 0.753)
H (0.356, 0.894, 0.981)
H (0.856, 0.106, 0.981)
Al (0.250, 0.696, 0.500)
H (0.856, 0.606, 0.519)
O (0.250, 0.462, 0.500)
H (0.102, 0.990, 0.619)
F (0.176, 0.194, 0.168)
H (0.524, 0.944, 0.253)
H (0.644, 0.606, 0.481)
N (0.543, 0.965, 0.700)
H (0.644, 0.106, 0.019)
O (0.750, 0.038, 0.000)
H (0.137, 0.585, 0.741)
F (0.676, 0.806, 0.168)
H (0.956, 0.129, 0.678)
F (0.525, 0.802, 0.947)
F (0.475, 0.698, 0.447)
F (0.176, 0.694, 0.332)
H (0.044, 0.871, 0.322)
F (0.324, 0.194, 0.832)
F (0.525, 0.302, 0.553)
Al (0.750, 0.304, 0.500)
H (0.476, 0.056, 0.747)
H (0.102, 0.490, 0.881)
F (0.975, 0.302, 0.447)
O (0.750, 0.538, 0.500)
H (0.544, 0.629, 0.178)
H (0.024, 0.056, 0.253)
H (0.456, 0.871, 0.678)
H (0.137, 0.085, 0.759)
N (0.957, 0.465, 0.200)
H (0.544, 0.129, 0.322)
F (0.250, 0.420, 0.000)
F (0.324, 0.694, 0.668)
H (0.398, 0.490, 0.119)
N (0.043, 0.035, 0.700)
H (0.144, 0.894, 0.019)
F (0.824, 0.306, 0.668)
N (0.457, 0.535, 0.200)
F (0.250, 0.920, 0.500)
H (0.398, 0.990, 0.381)
H (0.976, 0.944, 0.747)
F (0.025, 0.698, 0.553)
H (0.863, 0.915, 0.241)
H (0.024, 0.556, 0.247)
H (0.456, 0.371, 0.822)
H (0.976, 0.444, 0.753)
H (0.602, 0.010, 0.619)
Al (0.250, 0.196, 0.000)
H (0.637, 0.415, 0.741)
N (0.957, 0.965, 0.300)
N (0.543, 0.465, 0.800)
N (0.457, 0.035, 0.300)
N (0.043, 0.535, 0.800)
H (0.602, 0.510, 0.881)
H (0.524, 0.444, 0.247)
Al (0.750, 0.804, 0.000)
F (0.975, 0.802, 0.053)
H (0.363, 0.085, 0.241)
H (0.863, 0.415, 0.259)
H (0.956, 0.629, 0.822)
F (0.475, 0.198, 0.053)
H (0.044, 0.371, 0.178)
H (0.144, 0.394, 0.481)
F (0.676, 0.306, 0.332)
F (0.025, 0.198, 0.947)
H (0.356, 0.394, 0.519)
H (0.637, 0.915, 0.759)
H (0.363, 0.585, 0.259)
F (0.750, 0.080, 0.500)
O (0.250, 0.962, 0.000)
H (0.898, 0.010, 0.381)
F (0.750, 0.580, 0.000)
F (0.824, 0.806, 0.832)

=====

- Which of these has the lowest formation energy from the elements?
  AlH10N2OF5